Computed, not measured: a geometry-optimized Ta6Ga5 structure at the PBE-GGA level of DFT.

Results
* energy relative to the elements: -206 meV per atom
* space group: P6_3/mmc

The structure in POSCAR format:
```
Ta6Ga5
1.0
8.940 0.000 0.000
-4.470 7.743 0.000
0.000 0.000 5.471
Ta Ga
12 10
Direct
0.000 0.500 0.000 Ta
0.000 0.500 0.500 Ta
0.153 0.306 0.250 Ta
0.153 0.847 0.250 Ta
0.306 0.153 0.750 Ta
0.500 0.000 0.000 Ta
0.500 0.000 0.500 Ta
0.500 0.500 0.000 Ta
0.500 0.500 0.500 Ta
0.694 0.847 0.250 Ta
0.847 0.153 0.750 Ta
0.847 0.694 0.750 Ta
0.000 0.000 0.000 Ga
0.000 0.000 0.500 Ga
0.206 0.411 0.750 Ga
0.206 0.794 0.750 Ga
0.333 0.667 0.250 Ga
0.411 0.206 0.250 Ga
0.589 0.794 0.750 Ga
0.667 0.333 0.750 Ga
0.794 0.206 0.250 Ga
0.794 0.589 0.250 Ga
```